Entry 1:
Density functional theory data (PBE) for NaSr2Tl after structural relaxation.

```
data_NaSr2Tl
_chemical_formula_sum 'Na4 Sr8 Tl4'
_symmetry_space_group_name_H-M 'F m -3 m'
_symmetry_Int_Tables_number 225
_symmetry_space_group_name_Hall '-F 4 2 3'
_cell_length_a 8.415
_cell_length_b 8.415
_cell_length_c 8.415
_cell_angle_alpha 90.00
_cell_angle_beta 90.00
_cell_angle_gamma 90.00
loop_
_atom_site_label
_atom_site_type_symbol
_atom_site_fract_x
_atom_site_fract_y
_atom_site_fract_z
_atom_site_occupancy
Na1 Na 0.000 0.000 0.000 1
Sr1 Sr 0.250 0.250 0.250 1
Tl1 Tl 0.000 0.000 0.500 1
```

Results
energy of formation	-0.210	eV per atom

---

Entry 2:
Density functional theory data (PBE) for Na3Ta after structural relaxation.

```
data_Na3Ta
_chemical_formula_sum 'Na6 Ta2'
_symmetry_space_group_name_H-M 'I 4/m m m'
_symmetry_Int_Tables_number 139
_symmetry_space_group_name_Hall '-I 4 2'
_cell_length_a 4.727
_cell_length_b 4.727
_cell_length_c 10.237
_cell_angle_alpha 90.00
_cell_angle_beta 90.00
_cell_angle_gamma 90.00
loop_
_atom_site_label
_atom_site_type_symbol
_atom_site_fract_x
_atom_site_fract_y
_atom_site_fract_z
_atom_site_occupancy
Na1 Na 0.000 0.000 0.000 1
Na2 Na 0.000 0.500 0.250 1
Ta1 Ta 0.000 0.000 0.500 1
```

Results
energy of formation	1.241	eV per atom
spin magnetization	3.956	μB/f.u.

---

Entry 3:
Density functional theory data (PBE) for NaTb3 after structural relaxation.

```
data_NaTb3
_chemical_formula_sum 'Na2 Tb6'
_symmetry_space_group_name_H-M 'P 63/m m c'
_symmetry_Int_Tables_number 194
_symmetry_space_group_name_Hall '-P 6c 2c'
_cell_length_a 7.2302
_cell_length_b 7.2302
_cell_length_c 5.7705
_cell_angle_alpha 90.00
_cell_angle_beta 90.00
_cell_angle_gamma 120.00
loop_
_atom_site_label
_atom_site_type_symbol
_atom_site_fract_x
_atom_site_fract_y
_atom_site_fract_z
_atom_site_occupancy
Na1 Na 0.3333 0.6667 0.2500 1
Tb1 Tb 0.1641 0.3282 0.7500 1
```

Results
energy of formation	0.303	eV per atom
spin magnetization	1.517	μB/f.u.
relative energy among the computed polymorphs	0.000	eV/atom

---

Entry 4:
Density functional theory data (PBE) for NaTb3 after structural relaxation.

```
data_NaTb3
_chemical_formula_sum 'Na4 Tb12'
_symmetry_space_group_name_H-M 'F m -3 m'
_symmetry_Int_Tables_number 225
_symmetry_space_group_name_Hall '-F 4 2 3'
_cell_length_a 7.982
_cell_length_b 7.982
_cell_length_c 7.982
_cell_angle_alpha 90.00
_cell_angle_beta 90.00
_cell_angle_gamma 90.00
loop_
_atom_site_label
_atom_site_type_symbol
_atom_site_fract_x
_atom_site_fract_y
_atom_site_fract_z
_atom_site_occupancy
Na1 Na 0.000 0.000 0.000 1
Tb1 Tb 0.000 0.000 0.500 1
Tb2 Tb 0.250 0.250 0.250 1
```

Results
energy of formation	0.308	eV per atom
spin magnetization	0.007	μB/f.u.
relative energy among the computed polymorphs	0.004	eV/atom

---

Entry 5:
Density functional theory data (PBE) for NaTbTl2 after structural relaxation.

```
data_NaTbTl2
_chemical_formula_sum 'Na4 Tb4 Tl8'
_symmetry_space_group_name_H-M 'F m -3 m'
_symmetry_Int_Tables_number 225
_symmetry_space_group_name_Hall '-F 4 2 3'
_cell_length_a 7.613
_cell_length_b 7.613
_cell_length_c 7.613
_cell_angle_alpha 90.00
_cell_angle_beta 90.00
_cell_angle_gamma 90.00
loop_
_atom_site_label
_atom_site_type_symbol
_atom_site_fract_x
_atom_site_fract_y
_atom_site_fract_z
_atom_site_occupancy
Na1 Na 0.000 0.000 0.000 1
Tb1 Tb 0.000 0.000 0.500 1
Tl1 Tl 0.250 0.250 0.250 1
```

Results
energy of formation	-0.240	eV per atom

---

Entry 6:
Density functional theory data (PBE) for NaTc3 after structural relaxation.

```
data_NaTc3
_chemical_formula_sum 'Na4 Tc12'
_symmetry_space_group_name_H-M 'F m -3 m'
_symmetry_Int_Tables_number 225
_symmetry_space_group_name_Hall '-F 4 2 3'
_cell_length_a 6.224
_cell_length_b 6.224
_cell_length_c 6.224
_cell_angle_alpha 90.00
_cell_angle_beta 90.00
_cell_angle_gamma 90.00
loop_
_atom_site_label
_atom_site_type_symbol
_atom_site_fract_x
_atom_site_fract_y
_atom_site_fract_z
_atom_site_occupancy
Na1 Na 0.000 0.000 0.000 1
Tc1 Tc 0.000 0.000 0.500 1
Tc2 Tc 0.250 0.250 0.250 1
```

Results
energy of formation	0.761	eV per atom
spin magnetization	0.060	μB/f.u.

---

Entry 7:
Density functional theory data (PBE) for Na3Tc after structural relaxation.

```
data_Na3Tc
_chemical_formula_sum 'Na6 Tc2'
_symmetry_space_group_name_H-M 'I 4/m m m'
_symmetry_Int_Tables_number 139
_symmetry_space_group_name_Hall '-I 4 2'
_cell_length_a 4.721
_cell_length_b 4.721
_cell_length_c 9.497
_cell_angle_alpha 90.00
_cell_angle_beta 90.00
_cell_angle_gamma 90.00
loop_
_atom_site_label
_atom_site_type_symbol
_atom_site_fract_x
_atom_site_fract_y
_atom_site_fract_z
_atom_site_occupancy
Na1 Na 0.000 0.000 0.000 1
Na2 Na 0.000 0.500 0.250 1
Tc1 Tc 0.000 0.000 0.500 1
```

Results
energy of formation	0.992	eV per atom
spin magnetization	3.337	μB/f.u.
relative energy among the computed polymorphs	0.001	eV/atom

---

Entry 8:
Density functional theory data (PBE) for Na3Tc after structural relaxation.

```
data_Na3Tc
_chemical_formula_sum 'Na12 Tc4'
_symmetry_space_group_name_H-M 'F m -3 m'
_symmetry_Int_Tables_number 225
_symmetry_space_group_name_Hall '-F 4 2 3'
_cell_length_a 7.564
_cell_length_b 7.564
_cell_length_c 7.564
_cell_angle_alpha 90.00
_cell_angle_beta 90.00
_cell_angle_gamma 90.00
loop_
_atom_site_label
_atom_site_type_symbol
_atom_site_fract_x
_atom_site_fract_y
_atom_site_fract_z
_atom_site_occupancy
Na1 Na 0.000 0.000 0.000 1
Na2 Na 0.250 0.250 0.250 1
Tc1 Tc 0.000 0.000 0.500 1
```

Results
energy of formation	0.999	eV per atom
spin magnetization	3.374	μB/f.u.
relative energy among the computed polymorphs	0.008	eV/atom

---

Entry 9:
Density functional theory data (PBE) for Na3Tc after structural relaxation.

```
data_Na3Tc
_chemical_formula_sum 'Na6 Tc2'
_symmetry_space_group_name_H-M 'P 63/m m c'
_symmetry_Int_Tables_number 194
_symmetry_space_group_name_Hall '-P 6c 2c'
_cell_length_a 6.6820
_cell_length_b 6.6820
_cell_length_c 5.4833
_cell_angle_alpha 90.00
_cell_angle_beta 90.00
_cell_angle_gamma 120.00
loop_
_atom_site_label
_atom_site_type_symbol
_atom_site_fract_x
_atom_site_fract_y
_atom_site_fract_z
_atom_site_occupancy
Na1 Na 0.1756 0.3513 0.2500 1
Tc1 Tc 0.3333 0.6667 0.7500 1
```

Results
energy of formation	0.990	eV per atom
spin magnetization	3.051	μB/f.u.
relative energy among the computed polymorphs	0.000	eV/atom

---

Entry 10:
Density functional theory data (PBE) for NaTe3 after structural relaxation.

```
data_NaTe3
_chemical_formula_sum 'Na12 Te36'
_symmetry_space_group_name_H-M 'P -3 c 1'
_symmetry_Int_Tables_number 165
_symmetry_space_group_name_Hall '-P 3 2"c'
_cell_length_a 9.1336
_cell_length_b 9.1336
_cell_length_c 22.1902
_cell_angle_alpha 90.00
_cell_angle_beta 90.00
_cell_angle_gamma 120.00
loop_
_atom_site_label
_atom_site_type_symbol
_atom_site_fract_x
_atom_site_fract_y
_atom_site_fract_z
_atom_site_occupancy
Na1 Na 0.0000 0.0000 0.1236 1
Na2 Na 0.3333 0.6667 0.2068 1
Na3 Na 0.3333 0.6667 0.4589 1
Te1 Te 0.0082 0.4807 0.1215 1
Te2 Te 0.1324 0.3376 0.2933 1
Te3 Te 0.1596 0.3290 0.0404 1
```

Results
energy of formation	-0.701	eV per atom

---

Entry 11:
Density functional theory data (PBE) for Na3Ti after structural relaxation.

```
data_Na3Ti
_chemical_formula_sum 'Na3 Ti1'
_symmetry_space_group_name_H-M 'P m -3 m'
_symmetry_Int_Tables_number 221
_symmetry_space_group_name_Hall '-P 4 2 3'
_cell_length_a 4.905
_cell_length_b 4.905
_cell_length_c 4.905
_cell_angle_alpha 90.00
_cell_angle_beta 90.00
_cell_angle_gamma 90.00
loop_
_atom_site_label
_atom_site_type_symbol
_atom_site_fract_x
_atom_site_fract_y
_atom_site_fract_z
_atom_site_occupancy
Na1 Na 0.000 0.000 0.500 1
Ti1 Ti 0.500 0.500 0.500 1
```

Results
energy of formation	0.818	eV per atom
spin magnetization	0.217	μB/f.u.
relative energy among the computed polymorphs	0.101	eV/atom

---

Entry 12:
Density functional theory data (PBE) for Na3Ti after structural relaxation.

```
data_Na3Ti
_chemical_formula_sum 'Na6 Ti2'
_symmetry_space_group_name_H-M 'P 63/m m c'
_symmetry_Int_Tables_number 194
_symmetry_space_group_name_Hall '-P 6c 2c'
_cell_length_a 7.0197
_cell_length_b 7.0197
_cell_length_c 5.7711
_cell_angle_alpha 90.00
_cell_angle_beta 90.00
_cell_angle_gamma 120.00
loop_
_atom_site_label
_atom_site_type_symbol
_atom_site_fract_x
_atom_site_fract_y
_atom_site_fract_z
_atom_site_occupancy
Na1 Na 0.1687 0.3375 0.2500 1
Ti1 Ti 0.3333 0.6667 0.7500 1
```

Results
energy of formation	0.717	eV per atom
spin magnetization	3.112	μB/f.u.
relative energy among the computed polymorphs	0.000	eV/atom

---

Question: The highest energy of formation belongs to which entry?
Answer: Na3Ta